Record 1
KIn5S8: optimized geometry, r2SCAN.

**Symmetry**: No. 8

abc: 9.770 9.770 9.317
angles: 103.19 103.19 22.90
Fractional positions:
K1 0.000 0.000 0.000
In1 0.124 0.124 0.421
In2 0.194 0.194 0.850
In3 0.479 0.479 0.512
In4 0.767 0.767 0.176
In5 0.836 0.836 0.608
S1 0.066 0.066 0.637
S2 0.241 0.241 0.358
S3 0.315 0.315 0.039
S4 0.412 0.412 0.731
S5 0.548 0.548 0.297
S6 0.644 0.644 0.987
S7 0.719 0.719 0.668
S8 0.894 0.894 0.391

---

Record 2
KIn5S8: optimized geometry, r2SCAN.

**Symmetry**: No. 12

abc: 9.744 9.744 9.303
angles: 102.94 102.94 22.96
Fractional positions:
K1 0.000 0.000 0.000
In1 0.145 0.145 0.408
In2 0.213 0.213 0.838
In3 0.500 0.500 0.500
In4 0.787 0.787 0.162
In5 0.855 0.855 0.592
S1 0.085 0.085 0.624
S2 0.262 0.262 0.346
S3 0.335 0.335 0.024
S4 0.431 0.431 0.716
S5 0.569 0.569 0.284
S6 0.665 0.665 0.976
S7 0.738 0.738 0.654
S8 0.915 0.915 0.376

---

Record 3
K2In2Sb3: optimized geometry, r2SCAN.

**Symmetry**: No. 14

abc: 15.456 7.647 16.930
angles: 90.00 90.45 90.00
Fractional positions:
K1 0.059 0.055 0.103
K2 0.059 0.445 0.603
K3 0.154 0.552 0.022
K4 0.154 0.948 0.522
K5 0.357 0.035 0.008
K6 0.357 0.465 0.508
K7 0.422 0.535 0.113
K8 0.422 0.965 0.613
K9 0.578 0.035 0.387
K10 0.578 0.465 0.887
K11 0.643 0.535 0.492
K12 0.643 0.965 0.992
K13 0.846 0.052 0.478
K14 0.846 0.448 0.978
K15 0.941 0.555 0.397
K16 0.941 0.945 0.897
In1 0.092 0.736 0.260
In2 0.092 0.764 0.760
In3 0.184 0.220 0.336
In4 0.184 0.280 0.836
In5 0.317 0.738 0.327
In6 0.317 0.762 0.827
In7 0.408 0.213 0.272
In8 0.408 0.287 0.772
In9 0.592 0.713 0.228
In10 0.592 0.787 0.728
In11 0.683 0.238 0.173
In12 0.683 0.262 0.673
In13 0.816 0.720 0.164
In14 0.816 0.780 0.664
In15 0.908 0.236 0.240
In16 0.908 0.264 0.740
Sb1 0.022 0.034 0.342
Sb2 0.022 0.466 0.842
Sb3 0.167 0.563 0.396
Sb4 0.167 0.937 0.896
Sb5 0.249 0.664 0.673
Sb6 0.249 0.836 0.173
Sb7 0.250 0.213 0.178
Sb8 0.250 0.287 0.678
Sb9 0.338 0.055 0.412
Sb10 0.338 0.445 0.912
Sb11 0.474 0.537 0.331
Sb12 0.474 0.963 0.831
Sb13 0.526 0.037 0.169
Sb14 0.526 0.463 0.669
Sb15 0.662 0.555 0.088
Sb16 0.662 0.945 0.588
Sb17 0.750 0.713 0.322
Sb18 0.750 0.787 0.822
Sb19 0.751 0.164 0.827
Sb20 0.751 0.336 0.327
Sb21 0.833 0.063 0.104
Sb22 0.833 0.437 0.604
Sb23 0.978 0.534 0.158
Sb24 0.978 0.966 0.658

---

Record 4
K2In12Se19: optimized geometry, r2SCAN.

**Symmetry**: No. 148

abc: 14.398 14.398 14.398
angles: 58.45 58.45 58.45
Fractional positions:
K1 0.081 0.081 0.081
K2 0.414 0.414 0.414
K3 0.586 0.586 0.586
K4 0.919 0.919 0.919
In1 0.035 0.503 0.102
In2 0.091 0.365 0.399
In3 0.102 0.035 0.503
In4 0.104 0.678 0.200
In5 0.174 0.693 0.600
In6 0.200 0.104 0.678
In7 0.307 0.400 0.826
In8 0.322 0.800 0.896
In9 0.365 0.399 0.091
In10 0.399 0.091 0.365
In11 0.400 0.826 0.307
In12 0.497 0.898 0.965
In13 0.503 0.102 0.035
In14 0.600 0.174 0.693
In15 0.601 0.909 0.635
In16 0.635 0.601 0.909
In17 0.678 0.200 0.104
In18 0.693 0.600 0.174
In19 0.800 0.896 0.322
In20 0.826 0.307 0.400
In21 0.896 0.322 0.800
In22 0.898 0.965 0.497
In23 0.909 0.635 0.601
In24 0.965 0.497 0.898
Se1 0.006 0.119 0.348
Se2 0.035 0.192 0.585
Se3 0.084 0.534 0.678
Se4 0.103 0.228 0.804
Se5 0.119 0.348 0.006
Se6 0.154 0.509 0.382
Se7 0.192 0.585 0.035
Se8 0.196 0.897 0.772
Se9 0.228 0.804 0.103
Se10 0.250 0.250 0.250
Se11 0.269 0.713 0.386
Se12 0.287 0.614 0.731
Se13 0.322 0.916 0.466
Se14 0.348 0.006 0.119
Se15 0.382 0.154 0.509
Se16 0.386 0.269 0.713
Se17 0.415 0.965 0.808
Se18 0.466 0.322 0.916
Se19 0.491 0.618 0.846
Se20 0.509 0.382 0.154
Se21 0.534 0.678 0.084
Se22 0.585 0.035 0.192
Se23 0.614 0.731 0.287
Se24 0.618 0.846 0.491
Se25 0.652 0.994 0.881
Se26 0.678 0.084 0.534
Se27 0.713 0.386 0.269
Se28 0.731 0.287 0.614
Se29 0.750 0.750 0.750
Se30 0.772 0.196 0.897
Se31 0.804 0.103 0.228
Se32 0.808 0.415 0.965
Se33 0.846 0.491 0.618
Se34 0.881 0.652 0.994
Se35 0.897 0.772 0.196
Se36 0.916 0.466 0.322
Se37 0.965 0.808 0.415
Se38 0.994 0.881 0.652

---

Record 5
LaLuIn2: optimized geometry, r2SCAN.

**Symmetry**: No. 225

abc: 5.398 5.398 5.398
angles: 60.00 60.00 60.00
Fractional positions:
La1 0.000 0.000 0.000
Lu1 0.500 0.500 0.500
In1 0.250 0.250 0.250
In2 0.750 0.750 0.750

---

Record 6
LaInNi2: optimized geometry, r2SCAN.

**Symmetry**: No. 51

abc: 5.261 4.117 7.147
angles: 90.00 90.00 90.00
Fractional positions:
La1 0.250 0.000 0.228
La2 0.750 0.000 0.772
In1 0.250 0.500 0.836
In2 0.750 0.500 0.164
Ni1 0.000 0.500 0.500
Ni2 0.250 0.000 0.605
Ni3 0.500 0.500 0.500
Ni4 0.750 0.000 0.395

---

Record 7
LaIn4Ni: optimized geometry, r2SCAN.

**Symmetry**: No. 63

abc: 8.766 8.766 7.231
angles: 90.00 90.00 150.18
Fractional positions:
La1 0.118 0.882 0.750
La2 0.882 0.118 0.250
In1 0.076 0.924 0.250
In2 0.310 0.690 0.550
In3 0.310 0.690 0.950
In4 0.500 0.500 0.000
In5 0.500 0.500 0.500
In6 0.690 0.310 0.050
In7 0.690 0.310 0.450
In8 0.924 0.076 0.750
Ni1 0.226 0.774 0.250
Ni2 0.774 0.226 0.750

---

Record 8
LaInNi: optimized geometry, r2SCAN.

**Symmetry**: No. 189

abc: 7.528 7.528 4.098
angles: 90.00 90.00 120.00
Fractional positions:
La1 0.000 0.417 0.000
La2 0.417 0.000 0.000
La3 0.583 0.583 0.000
In1 0.000 0.760 0.500
In2 0.240 0.240 0.500
In3 0.760 0.000 0.500
Ni1 0.000 0.000 0.000
Ni2 0.333 0.667 0.500
Ni3 0.667 0.333 0.500

---

Record 9
LaInPd2: optimized geometry, r2SCAN.

**Symmetry**: No. 194

abc: 4.663 4.663 9.396
angles: 90.00 90.00 120.00
Fractional positions:
La1 0.333 0.667 0.250
La2 0.667 0.333 0.750
In1 0.000 0.000 0.000
In2 0.000 0.000 0.500
Pd1 0.333 0.667 0.577
Pd2 0.333 0.667 0.923
Pd3 0.667 0.333 0.077
Pd4 0.667 0.333 0.423

---

Record 10
LaIn2Pd: optimized geometry, r2SCAN.

**Symmetry**: No. 63

abc: 5.908 5.908 7.524
angles: 90.00 90.00 133.33
Fractional positions:
La1 0.076 0.924 0.750
La2 0.924 0.076 0.250
In1 0.360 0.640 0.551
In2 0.360 0.640 0.949
In3 0.640 0.360 0.051
In4 0.640 0.360 0.449
Pd1 0.206 0.794 0.250
Pd2 0.794 0.206 0.750

---

Record 11
LaInPt4: optimized geometry, r2SCAN.

**Symmetry**: No. 216

abc: 5.446 5.446 5.446
angles: 60.00 60.00 60.00
Fractional positions:
La1 0.000 0.000 0.000
In1 0.750 0.750 0.750
Pt1 0.376 0.376 0.376
Pt2 0.376 0.376 0.873
Pt3 0.376 0.873 0.376
Pt4 0.873 0.376 0.376

---

Record 12
LaIn2Rh: optimized geometry, r2SCAN.

**Symmetry**: No. 63

abc: 5.561 5.561 8.061
angles: 90.00 90.00 131.74
Fractional positions:
La1 0.060 0.940 0.750
La2 0.940 0.060 0.250
In1 0.349 0.651 0.550
In2 0.349 0.651 0.950
In3 0.651 0.349 0.050
In4 0.651 0.349 0.450
Rh1 0.203 0.797 0.250
Rh2 0.797 0.203 0.750

---

Record 13
La2InRh2: optimized geometry, r2SCAN.

**Symmetry**: No. 127

abc: 7.681 7.681 3.969
angles: 90.00 90.00 90.00
Fractional positions:
La1 0.171 0.329 0.000
La2 0.329 0.829 0.000
La3 0.671 0.171 0.000
La4 0.829 0.671 0.000
In1 0.000 0.000 0.500
In2 0.500 0.500 0.500
Rh1 0.135 0.635 0.500
Rh2 0.365 0.135 0.500
Rh3 0.635 0.865 0.500
Rh4 0.865 0.365 0.500

---

Record 14
LaIn5Rh: optimized geometry, r2SCAN.

**Symmetry**: No. 123

abc: 4.711 4.711 7.642
angles: 90.00 90.00 90.00
Fractional positions:
La1 0.000 0.000 0.000
In1 0.000 0.500 0.308
In2 0.000 0.500 0.692
In3 0.500 0.000 0.308
In4 0.500 0.000 0.692
In5 0.500 0.500 0.000
Rh1 0.000 0.000 0.500

---

Record 15
La2In3Sn3: optimized geometry, r2SCAN.

**Symmetry**: No. 47

abc: 4.819 4.829 9.423
angles: 90.00 90.00 90.00
Fractional positions:
La1 0.000 0.000 0.247
La2 0.000 0.000 0.753
In1 0.000 0.500 0.500
In2 0.500 0.500 0.253
In3 0.500 0.500 0.747
Sn1 0.000 0.500 0.000
Sn2 0.500 0.000 0.000
Sn3 0.500 0.000 0.500

---

Record 16
LiIn3: optimized geometry, r2SCAN.

**Symmetry**: No. 221

abc: 4.493 4.493 4.493
angles: 90.00 90.00 90.00
Fractional positions:
Li1 0.000 0.000 0.000
In1 0.000 0.500 0.500
In2 0.500 0.000 0.500
In3 0.500 0.500 0.000

---

Record 17
Li3In: optimized geometry, r2SCAN.

**Relative energy among the computed polymorphs**: 0.000 eV/atom
**Symmetry**: No. 225

abc: 4.658 4.658 4.658
angles: 60.00 60.00 60.00
Fractional positions:
Li1 0.000 0.000 0.000
Li2 0.250 0.250 0.250
Li3 0.750 0.750 0.750
In1 0.500 0.500 0.500

---

Record 18
Li13In3: optimized geometry, r2SCAN.

**Symmetry**: No. 227

abc: 9.345 9.345 9.345
angles: 60.00 60.00 60.00
Fractional positions:
Li1 0.000 0.000 0.000
Li2 0.000 0.000 0.500
Li3 0.000 0.500 0.000
Li4 0.122 0.122 0.628
Li5 0.122 0.628 0.122
Li6 0.122 0.628 0.628
Li7 0.256 0.256 0.256
Li8 0.256 0.256 0.733
Li9 0.256 0.733 0.256
Li10 0.267 0.744 0.744
Li11 0.372 0.372 0.878
Li12 0.372 0.878 0.372
Li13 0.372 0.878 0.878
Li14 0.375 0.375 0.375
Li15 0.500 0.000 0.000
Li16 0.625 0.625 0.625
Li17 0.628 0.122 0.122
Li18 0.628 0.122 0.628
Li19 0.628 0.628 0.122
Li20 0.733 0.256 0.256
Li21 0.744 0.267 0.744
Li22 0.744 0.744 0.267
Li23 0.744 0.744 0.744
Li24 0.878 0.372 0.372
Li25 0.878 0.372 0.878
Li26 0.878 0.878 0.372
In1 0.000 0.500 0.500
In2 0.125 0.125 0.125
In3 0.500 0.000 0.500
In4 0.500 0.500 0.000
In5 0.500 0.500 0.500
In6 0.875 0.875 0.875

---

Number 1: energy relative to the elements -0.861 eV/atom, ρ 4.29 g/cm³, total magnetization 0.0 μB per formula unit. Number 2: energy relative to the elements -0.861 eV/atom, ρ 4.31 g/cm³, total magnetization 0.0 μB per formula unit. Number 3: energy relative to the elements -0.498 eV/atom, ρ 4.47 g/cm³, total magnetization 0.0 μB per formula unit. Number 4: energy relative to the elements -0.793 eV/atom, ρ 4.82 g/cm³, total magnetization 0.0 μB per formula unit. Number 5: energy relative to the elements -0.566 eV/atom, ρ 8.12 g/cm³, total magnetization 0.0 μB per formula unit. Number 6: energy relative to the elements -0.424 eV/atom, ρ 7.96 g/cm³, total magnetization 0.0 μB per formula unit. Number 7: energy relative to the elements -0.493 eV/atom, ρ 7.90 g/cm³, total magnetization 0.0 μB per formula unit. Number 8: energy relative to the elements -0.503 eV/atom, ρ 7.74 g/cm³, total magnetization 0.0 μB per formula unit. Number 9: energy relative to the elements -0.854 eV/atom, ρ 8.76 g/cm³, total magnetization 0.0 μB per formula unit. Number 10: energy relative to the elements -0.776 eV/atom, ρ 8.26 g/cm³, total magnetization 0.0 μB per formula unit. Number 11: energy relative to the elements -0.915 eV/atom, ρ 15.03 g/cm³, total magnetization 0.0 μB per formula unit. Number 12: energy relative to the elements -0.772 eV/atom, ρ 8.42 g/cm³, total magnetization 0.0 μB per formula unit. Number 13: energy relative to the elements -0.793 eV/atom, ρ 8.49 g/cm³, total magnetization 0.0 μB per formula unit. Number 14: energy relative to the elements -0.579 eV/atom, ρ 7.99 g/cm³, total magnetization 0.0 μB per formula unit. Number 15: energy relative to the elements -0.597 eV/atom, ρ 7.41 g/cm³, total magnetization 0.0 μB per formula unit. Number 16: energy relative to the elements -0.211 eV/atom, ρ 6.43 g/cm³, total magnetization 0.0 μB per formula unit. Number 17: energy relative to the elements -0.299 eV/atom, ρ 3.15 g/cm³, total magnetization 0.0 μB per formula unit. Number 18: energy relative to the elements -0.255 eV/atom, ρ 2.50 g/cm³, total magnetization 0.0 μB per formula unit.